A) ## V5Si3 (PBE)

Data for a geometry-optimized V5Si3 structure.

Structure (extended XYZ):
```
16
Lattice="-4.739 -0.509 5.212 2.071 4.407 -5.116 -2.977 -4.795 -4.245" Properties=species:S:1:pos:R:3 pbc="T T T"
V -4.681 -3.154 -2.019
V -1.120 0.780 -4.656
V -0.778 -0.482 -2.034
V -4.866 -0.415 -2.115
V -4.525 -1.678 0.507
V -3.137 0.726 -0.431
V -0.963 2.256 -2.130
V -6.047 -4.140 0.053
V -2.507 -1.624 -3.718
V 0.402 3.242 -4.202
Si -1.882 -1.138 -6.073
Si -0.667 0.974 0.024
Si -2.916 0.939 -2.920
Si -3.762 0.241 1.924
Si -2.001 2.923 0.072
Si -2.728 -1.837 -1.229
```

=====

B) ## V5Si3 (PBE)

Data for a geometry-optimized V5Si3 structure.

Structure (extended XYZ):
```
16
Lattice="-5.405 -4.517 -0.125 -2.857 0.726 6.399 1.523 5.059 -4.661" Properties=species:S:1:pos:R:3 pbc="T T T"
V 0.000 0.000 0.000
V -4.131 -1.895 3.137
V -0.279 4.515 -0.587
V -3.956 -2.098 0.297
V -3.968 0.704 1.974
V -0.267 1.714 -2.264
V -6.461 -3.247 2.200
V -2.784 3.366 1.315
V -2.772 0.565 -0.361
V -6.473 -0.446 3.877
Si -6.197 -2.843 4.705
Si -2.066 -0.948 1.568
Si -2.634 1.111 -2.798
Si -4.106 0.157 4.411
Si -1.006 2.196 0.002
Si -5.734 -0.928 1.610
```

=====

Calculated relative energies: A) 0.0; B) 3.2, given in kJ/mol of atoms

=====

A) ## SrO10 (PBE)

Data for a geometry-optimized SrO10 structure.

Structure (extended XYZ):
```
22
Lattice="-5.741 1.118 0.115 -0.845 -3.900 -4.278 -1.364 -7.759 7.343" Properties=species:S:1:pos:R:3 pbc="T T T"
Sr -0.682 -3.880 3.672
Sr 0.000 0.000 0.000
O -3.897 -4.828 1.171
O -4.580 -8.707 4.843
O -4.053 -5.713 2.009
O -3.371 -1.833 -1.662
O -1.396 -5.356 0.432
O -6.287 -3.665 1.310
O -2.949 -2.898 2.740
O -4.734 -6.122 -0.998
O -7.123 -8.253 4.205
O -1.925 -8.527 4.881
O -4.674 -6.575 6.433
O -4.374 -10.205 2.653
O -6.554 -5.185 2.749
O -1.663 -6.876 1.871
O -5.001 -7.642 0.441
O -3.216 -4.419 4.179
O -0.828 -2.288 -1.024
O -6.026 -2.014 -1.700
O -3.277 -3.966 -3.252
O -3.576 -0.336 0.528
```

Results
total moment: 0.00 μB/atom

=====

B) ## SrO10 (PBE)

Data for a geometry-optimized SrO10 structure.

Structure (extended XYZ):
```
44
Lattice="-2.581 4.989 3.911 -3.088 -4.677 3.929 9.690 -0.495 7.027" Properties=species:S:1:pos:R:3 pbc="T T T"
Sr 4.433 -0.215 9.190
Sr -0.412 0.032 5.676
Sr 2.422 -0.124 1.757
Sr 7.267 -0.371 5.270
O 4.456 -2.645 6.315
O -0.389 -2.398 2.802
O 2.399 2.306 4.631
O 7.244 2.059 8.145
O 6.736 -2.761 7.969
O 1.891 -2.514 4.456
O 0.119 2.423 2.978
O 4.964 2.175 6.491
O 1.862 0.373 9.686
O -2.042 2.045 4.976
O -0.677 -0.400 9.100
O 5.481 -3.185 10.624
O 4.071 -0.654 6.568
O -1.714 -1.831 4.251
O 2.784 0.315 4.379
O 6.316 2.605 9.882
O 1.419 1.866 6.370
O 7.050 0.099 8.693
O 3.079 -3.065 7.766
O -3.561 0.652 6.972
O 0.688 -1.951 7.109
O 4.747 -0.679 11.814
O 2.855 2.784 8.487
O -0.195 -0.438 2.254
O -0.119 0.426 8.296
O 5.721 1.685 10.544
O 1.305 -0.452 10.490
O -2.221 -2.755 4.977
O 2.138 -0.506 5.119
O 5.988 -2.261 9.898
O 4.717 0.167 5.828
O -1.447 2.965 4.314
O 3.350 1.804 7.829
O -0.663 0.444 3.055
O 1.095 -2.926 6.386
O 4.190 0.208 12.550
O 2.672 -2.090 8.489
O -3.005 -0.234 6.236
O 0.924 2.846 7.029
O 7.518 -0.783 7.892
```

Results
total moment: 0.00 μB/atom

=====

Calculated relative energies: A) 0.0; B) 39.4, given in kJ/mol of atoms